Record 1
Entry from the Materials Project: LiTmU2S3O2 after structural relaxation (GGA-PBE).

a b c (Å): 3.709 3.742 12.380
angles (deg): 98.69 98.62 90.00
Element x y z (fractional)
1 Li 0.921 0.421 0.843
2 Tm 0.030 0.030 0.060
3 U 0.301 0.301 0.603
4 U 0.690 0.690 0.379
5 S 0.135 0.135 0.269
6 S 0.862 0.862 0.724
7 S 0.498 0.498 0.996
8 O 0.246 0.746 0.492
9 O 0.746 0.246 0.492

Results
The value obtained for the calculated formation energy is -2365 meV/atom. The value obtained for the polymorph energy (0 for the lowest one) is 0.41 eV per formula unit. For the total energy after the MP2020 corrections, the calculation gives -72.6 eV/cell. For the density, the calculation gives 7.7 g/cm3.

Record 2
Entry from the Materials Project: Co2Sn3Te3 after structural relaxation (GGA-PBE).

a b c (Å): 9.200 9.200 9.200
angles (deg): 90.04 90.04 90.04
Element x y z (fractional)
1 Co 0.248 0.244 0.744
2 Co 0.744 0.248 0.244
3 Co 0.244 0.744 0.248
4 Co 0.752 0.756 0.256
5 Co 0.256 0.752 0.756
6 Co 0.756 0.256 0.752
7 Co 0.748 0.748 0.748
8 Co 0.252 0.252 0.252
9 Sn 0.835 0.681 0.004
10 Sn 0.004 0.835 0.681
11 Sn 0.681 0.004 0.835
12 Sn 0.165 0.319 0.996
13 Sn 0.996 0.165 0.319
14 Sn 0.319 0.996 0.165
15 Sn 0.665 0.181 0.499
16 Sn 0.499 0.665 0.181
17 Sn 0.181 0.499 0.665
18 Sn 0.335 0.819 0.501
19 Sn 0.501 0.335 0.819
20 Sn 0.819 0.501 0.335
21 Te 0.344 0.160 0.495
22 Te 0.495 0.344 0.160
23 Te 0.160 0.495 0.344
24 Te 0.656 0.840 0.505
25 Te 0.505 0.656 0.840
26 Te 0.840 0.505 0.656
27 Te 0.156 0.660 0.000
28 Te 0.000 0.156 0.660
29 Te 0.660 0.000 0.156
30 Te 0.844 0.340 0.000
31 Te 0.000 0.844 0.340
32 Te 0.340 0.000 0.844

Results
The value obtained for the calculated formation energy is -428 meV/atom. For the total energy after the MP2020 corrections, the calculation gives -156.4 eV/cell. For the density, the calculation gives 7.3 g/cm3.

Record 3
Entry from the Materials Project: ScGeRh after structural relaxation (GGA-PBE).

a b c (Å): 4.167 6.545 7.472
angles (deg): 90.00 90.00 90.00
Element x y z (fractional)
1 Sc 0.250 0.011 0.304
2 Sc 0.250 0.511 0.196
3 Sc 0.750 0.989 0.696
4 Sc 0.750 0.489 0.804
5 Ge 0.250 0.277 0.613
6 Ge 0.250 0.777 0.887
7 Ge 0.750 0.723 0.387
8 Ge 0.750 0.223 0.113
9 Rh 0.250 0.157 0.938
10 Rh 0.250 0.657 0.562
11 Rh 0.750 0.843 0.062
12 Rh 0.750 0.343 0.438

Results
The value obtained for the calculated formation energy is -985 meV/atom. For the density, the calculation gives 7.2 g/cm3.

Record 4
Entry from the Materials Project: Ga2Te3 after structural relaxation (GGA-PBE).

a b c (Å): 7.468 7.468 7.318
angles (deg): 80.99 80.99 120.96
Element x y z (fractional)
1 Ga 0.358 0.525 0.878
2 Ga 0.719 0.217 0.877
3 Ga 0.525 0.358 0.378
4 Ga 0.217 0.719 0.377
5 Te 0.988 0.152 0.016
6 Te 0.688 0.529 0.991
7 Te 0.529 0.688 0.491
8 Te 0.321 0.838 0.988
9 Te 0.152 0.988 0.516
10 Te 0.838 0.321 0.488

Results
The largest piezoelectric modulus is 0.20 C/m². The value obtained for the calculated formation energy is -575 meV/atom. For the total energy after the MP2020 corrections, the calculation gives -36.7 eV/cell. For the density, the calculation gives 5.2 g/cm3.

Record 5
Entry from the Materials Project: CeZr7O16 after structural relaxation (GGA-PBE).

a b c (Å): 6.941 7.483 7.504
angles (deg): 90.15 116.39 116.44
Element x y z (fractional)
1 Ce 0.294 0.549 0.015
2 Zr 0.207 0.982 0.943
3 Zr 0.714 0.950 0.495
4 Zr 0.710 0.439 0.986
5 Zr 0.206 0.490 0.447
6 Zr 0.786 0.510 0.551
7 Zr 0.289 0.053 0.510
8 Zr 0.793 0.012 0.058
9 O 0.023 0.867 0.611
10 O 0.135 0.512 0.682
11 O 0.863 0.997 0.810
12 O 0.355 0.807 0.484
13 O 0.366 0.298 0.987
14 O 0.966 0.635 0.883
15 O 0.471 0.386 0.632
16 O 0.487 0.903 0.139
17 O 0.523 0.104 0.859
18 O 0.527 0.614 0.378
19 O 0.010 0.360 0.116
20 O 0.646 0.195 0.516
21 O 0.651 0.695 0.007
22 O 0.147 0.017 0.193
23 O 0.852 0.492 0.305
24 O 0.978 0.132 0.392

Results
The value obtained for the calculated formation energy is -3804 meV/atom. The value obtained for the polymorph energy (0 for the lowest one) is 0.00 eV per formula unit. For the total energy after the MP2020 corrections, the calculation gives -236.2 eV/cell. For the density, the calculation gives 5.7 g/cm3.

Record 6
Entry from the Materials Project: Sm3Mg2CrS8 after structural relaxation (GGA-PBE).

a b c (Å): 7.902 7.790 7.902
angles (deg): 59.52 60.00 59.52
Element x y z (fractional)
1 Sm 0.500 0.500 0.500
2 Sm 0.500 0.500 0.000
3 Sm 0.000 0.500 0.500
4 Mg 0.875 0.876 0.875
5 Mg 0.125 0.124 0.125
6 Cr 0.500 0.000 0.500
7 S 0.728 0.775 0.728
8 S 0.272 0.225 0.732
9 S 0.253 0.741 0.253
10 S 0.732 0.225 0.272
11 S 0.747 0.259 0.747
12 S 0.268 0.775 0.728
13 S 0.272 0.225 0.272
14 S 0.728 0.775 0.268

Results
The value obtained for the calculated formation energy is -1824 meV/atom. For the total energy after the MP2020 corrections, the calculation gives -85.6 eV/cell. For the density, the calculation gives 3.9 g/cm3.

Record 7
Entry from the Materials Project: TbS2 after structural relaxation (GGA-PBE).

a b c (Å): 3.923 7.859 7.950
angles (deg): 89.87 90.00 90.00
Element x y z (fractional)
1 Tb 0.285 0.629 0.725
2 Tb 0.785 0.871 0.275
3 Tb 0.715 0.371 0.275
4 Tb 0.215 0.129 0.725
5 S 0.260 0.625 0.369
6 S 0.760 0.875 0.631
7 S 0.740 0.375 0.631
8 S 0.240 0.125 0.369
9 S 0.836 0.611 0.997
10 S 0.336 0.889 0.003
11 S 0.164 0.389 0.003
12 S 0.664 0.111 0.997

Results
The value obtained for the calculated formation energy is -2063 meV/atom. For the total energy after the MP2020 corrections, the calculation gives -76.4 eV/cell. For the density, the calculation gives 6.0 g/cm3.

Record 8
Entry from the Materials Project: K2LiSbCl6 after structural relaxation (GGA-PBE).

a b c (Å): 7.383 7.383 7.383
angles (deg): 60.00 60.00 60.00
Element x y z (fractional)
1 K 0.750 0.750 0.750
2 K 0.250 0.250 0.250
3 Li 0.500 0.500 0.500
4 Sb 0.000 0.000 0.000
5 Cl 0.746 0.254 0.254
6 Cl 0.254 0.254 0.746
7 Cl 0.254 0.746 0.746
8 Cl 0.254 0.746 0.254
9 Cl 0.746 0.254 0.746
10 Cl 0.746 0.746 0.254

Results
The value obtained for the calculated formation energy is -1847 meV/atom. For the total energy after the MP2020 corrections, the calculation gives -37.8 eV/cell. For the density, the calculation gives 2.4 g/cm3.

Record 9
Entry from the Materials Project: YScS2 after structural relaxation (GGA-PBE).

a b c (Å): 6.637 6.637 6.637
angles (deg): 33.29 33.29 33.29
Element x y z (fractional)
1 Y 0.500 0.500 0.500
2 Sc 0.000 0.000 0.000
3 S 0.256 0.256 0.256
4 S 0.744 0.744 0.744

Results
The value obtained for the calculated formation energy is -2169 meV/atom. For the total energy after the MP2020 corrections, the calculation gives -29.7 eV/cell. For the density, the calculation gives 4.2 g/cm3.

Record 10
Entry from the Materials Project: UTaC2 after structural relaxation (GGA-PBE).

a b c (Å): 5.927 5.927 5.927
angles (deg): 31.93 31.93 31.93
Element x y z (fractional)
1 U 0.500 0.500 0.500
2 Ta 0.000 0.000 0.000
3 C 0.742 0.742 0.742
4 C 0.258 0.258 0.258

Results
The value obtained for the calculated formation energy is -483 meV/atom. For the density, the calculation gives 14.2 g/cm3.

Record 11
Entry from the Materials Project: Na3HfSi2GePO12 after structural relaxation (GGA-PBE).

a b c (Å): 15.486 8.873 9.020
angles (deg): 90.23 125.46 89.69
Element x y z (fractional)
1 Na 0.243 0.775 0.996
2 Na 0.753 0.725 0.505
3 Na 0.753 0.270 0.006
4 Na 0.243 0.225 0.492
5 Na 0.505 0.107 0.757
6 Na 0.503 0.900 0.249
7 Na 0.004 0.624 0.753
8 Na 0.003 0.370 0.252
9 Na 0.817 0.939 0.240
10 Na 0.813 0.063 0.734
11 Na 0.302 0.436 0.212
12 Na 0.308 0.560 0.734
13 Hf 0.107 0.753 0.562
14 Hf 0.605 0.251 0.565
15 Hf 0.393 0.757 0.434
16 Hf 0.608 0.749 0.067
17 Si 0.358 0.904 0.767
18 Si 0.655 0.883 0.749
19 Si 0.651 0.120 0.246
20 Si 0.350 0.110 0.241
21 Si 0.863 0.398 0.759
22 Si 0.145 0.382 0.749
23 Si 0.140 0.604 0.235
24 Si 0.860 0.597 0.258
25 Ge 0.895 0.734 0.943
26 Ge 0.897 0.265 0.445
27 Ge 0.103 0.252 0.055
28 Ge 0.395 0.243 0.936
29 P 0.000 0.973 0.748
30 P 0.998 0.037 0.232
31 P 0.495 0.453 0.749
32 P 0.495 0.538 0.236
33 O 0.151 0.568 0.738
34 O 0.862 0.583 0.771
35 O 0.861 0.412 0.268
36 O 0.143 0.417 0.226
37 O 0.659 0.069 0.742
38 O 0.355 0.089 0.764
39 O 0.347 0.926 0.249
40 O 0.660 0.934 0.241
41 O 0.432 0.546 0.572
42 O 0.553 0.558 0.914
43 O 0.553 0.438 0.405
44 O 0.429 0.443 0.058
45 O 0.928 0.070 0.570
46 O 0.067 0.071 0.919
47 O 0.064 0.939 0.403
48 O 0.926 0.936 0.060
49 O 0.260 0.821 0.750
50 O 0.760 0.814 0.768
51 O 0.758 0.186 0.270
52 O 0.247 0.190 0.219
53 O 0.760 0.326 0.738
54 O 0.252 0.319 0.772
55 O 0.243 0.668 0.249
56 O 0.759 0.671 0.242
57 O 0.365 0.859 0.597
58 O 0.652 0.849 0.923
59 O 0.648 0.147 0.422
60 O 0.366 0.148 0.082
61 O 0.868 0.371 0.584
62 O 0.138 0.363 0.923
63 O 0.147 0.635 0.420
64 O 0.866 0.634 0.085
65 O 0.464 0.844 0.953
66 O 0.548 0.821 0.561
67 O 0.541 0.185 0.059
68 O 0.454 0.172 0.435
69 O 0.963 0.315 0.940
70 O 0.040 0.311 0.560
71 O 0.035 0.683 0.056
72 O 0.960 0.673 0.441
73 O 0.078 0.870 0.739
74 O 0.921 0.870 0.753
75 O 0.919 0.137 0.243
76 O 0.078 0.138 0.226
77 O 0.578 0.349 0.755
78 O 0.412 0.357 0.751
79 O 0.413 0.638 0.238
80 O 0.578 0.642 0.246

Results
The value obtained for the calculated formation energy is -2872 meV/atom. The value obtained for the polymorph energy (0 for the lowest one) is 0.00 eV per formula unit. For the total energy after the MP2020 corrections, the calculation gives -606.5 eV/cell. For the density, the calculation gives 3.9 g/cm3.

Record 12
Entry from the Materials Project: HfNbP3O12 after structural relaxation (GGA-PBE).

a b c (Å): 8.880 8.880 22.734
angles (deg): 90.00 90.00 120.00
Element x y z (fractional)
1 Hf 0.000 0.000 0.358
2 Hf 0.000 0.000 0.858
3 Hf 0.667 0.333 0.691
4 Hf 0.667 0.333 0.191
5 Hf 0.333 0.667 0.025
6 Hf 0.333 0.667 0.525
7 Nb 0.000 0.000 0.643
8 Nb 0.000 0.000 0.143
9 Nb 0.667 0.333 0.976
10 Nb 0.667 0.333 0.476
11 Nb 0.333 0.667 0.309
12 Nb 0.333 0.667 0.809
13 P 0.281 0.997 0.250
14 P 0.716 0.719 0.250
15 P 0.003 0.284 0.250
16 P 0.281 0.284 0.750
17 P 0.003 0.719 0.750
18 P 0.716 0.997 0.750
19 P 0.948 0.330 0.584
20 P 0.382 0.052 0.584
21 P 0.670 0.618 0.584
22 P 0.948 0.618 0.084
23 P 0.670 0.052 0.084
24 P 0.382 0.330 0.084
25 P 0.614 0.664 0.917
26 P 0.049 0.386 0.917
27 P 0.336 0.951 0.917
28 P 0.614 0.951 0.417
29 P 0.336 0.386 0.417
30 P 0.049 0.664 0.417
31 O 0.197 0.025 0.304
32 O 0.828 0.803 0.304
33 O 0.975 0.172 0.304
34 O 0.197 0.172 0.804
35 O 0.975 0.803 0.804
36 O 0.828 0.025 0.804
37 O 0.802 0.966 0.695
38 O 0.164 0.198 0.695
39 O 0.034 0.836 0.695
40 O 0.802 0.836 0.195
41 O 0.034 0.198 0.195
42 O 0.164 0.966 0.195
43 O 0.863 0.358 0.638
44 O 0.495 0.137 0.638
45 O 0.642 0.505 0.638
46 O 0.863 0.505 0.138
47 O 0.642 0.137 0.138
48 O 0.495 0.358 0.138
49 O 0.469 0.299 0.029
50 O 0.830 0.531 0.029
51 O 0.701 0.170 0.029
52 O 0.469 0.170 0.529
53 O 0.701 0.531 0.529
54 O 0.830 0.299 0.529
55 O 0.530 0.691 0.971
56 O 0.161 0.470 0.971
57 O 0.309 0.839 0.971
58 O 0.530 0.839 0.471
59 O 0.309 0.470 0.471
60 O 0.161 0.691 0.471
61 O 0.135 0.632 0.362
62 O 0.497 0.865 0.362
63 O 0.368 0.503 0.362
64 O 0.135 0.503 0.862
65 O 0.368 0.865 0.862
66 O 0.497 0.632 0.862
67 O 0.023 0.818 0.407
68 O 0.795 0.977 0.407
69 O 0.182 0.205 0.407
70 O 0.023 0.205 0.907
71 O 0.182 0.977 0.907
72 O 0.795 0.818 0.907
73 O 0.963 0.164 0.593
74 O 0.201 0.037 0.593
75 O 0.836 0.799 0.593
76 O 0.963 0.799 0.093
77 O 0.836 0.037 0.093
78 O 0.201 0.164 0.093
79 O 0.690 0.152 0.740
80 O 0.462 0.310 0.740
81 O 0.848 0.538 0.740
82 O 0.690 0.538 0.240
83 O 0.848 0.310 0.240
84 O 0.462 0.152 0.240
85 O 0.629 0.497 0.927
86 O 0.868 0.371 0.927
87 O 0.503 0.132 0.927
88 O 0.629 0.132 0.427
89 O 0.503 0.371 0.427
90 O 0.868 0.497 0.427
91 O 0.356 0.485 0.073
92 O 0.129 0.644 0.073
93 O 0.515 0.871 0.073
94 O 0.356 0.871 0.573
95 O 0.515 0.644 0.573
96 O 0.129 0.485 0.573
97 O 0.296 0.830 0.260
98 O 0.534 0.704 0.260
99 O 0.170 0.466 0.260
100 O 0.296 0.466 0.760
101 O 0.170 0.704 0.760
102 O 0.534 0.830 0.760

Results
The value obtained for the calculated formation energy is -3091 meV/atom. For the total energy after the MP2020 corrections, the calculation gives -889.4 eV/cell. For the density, the calculation gives 3.6 g/cm3.